[1]
The following is a GGA+U calculation of an optimized crystal structure of MgMn2O4, from the Materials Project database.

- magnetization (μB per cell) = 4.96
- theoretical density (g/cm3) = 3.78
- calculated formation energy (eV/atom) = -1.831
- energy above the most stable polymorph in this dataset (meV/atom) = 510
- space-group type = P1 (1)

a b c (Å): 3.142 3.143 10.107
angles (deg): 89.88 89.52 60.78
Positions (direct):
Mg (0.000, 0.000, 0.000)
Mn (0.342, 0.329, 0.725)
Mn (0.657, 0.669, 0.296)
O (0.007, 0.992, 0.672)
O (0.324, 0.339, 0.378)
O (0.338, 0.335, 0.934)
O (0.987, 0.995, 0.198)


[2]
The following is a GGA+U calculation of an optimized crystal structure of YVO3, from the Materials Project database.

- magnetization (μB per cell) = 2.00
- theoretical density (g/cm3) = 5.23
- calculated formation energy (eV/atom) = -2.921
- space-group type = P4/mmm (123)

a b c (Å): 3.863 3.863 3.996
angles (deg): 90.00 90.00 90.00
Positions (direct):
Y (0.000, 0.000, 0.000)
V (0.500, 0.500, 0.500)
O (0.000, 0.500, 0.500)
O (0.500, 0.000, 0.500)
O (0.500, 0.500, 0.000)


[3]
The following is a GGA+U calculation of an optimized crystal structure of RbFeMo2O8, from the Materials Project database.

- magnetization (μB per cell) = 0.00
- theoretical density (g/cm3) = 3.42
- calculated formation energy (eV/atom) = -2.015

a b c (Å): 5.719 9.760 9.760
angles (deg): 71.73 72.97 107.03
Positions (direct):
Rb (0.000, 0.250, 0.250)
Rb (0.000, 0.750, 0.750)
Fe (0.000, 0.500, 0.500)
Fe (0.000, 0.000, 0.000)
Mo (0.667, 0.057, 0.724)
Mo (0.333, 0.943, 0.276)
Mo (0.667, 0.557, 0.224)
Mo (0.333, 0.443, 0.776)
O (0.333, 0.554, 0.887)
O (0.333, 0.054, 0.387)
O (0.667, 0.446, 0.113)
O (0.667, 0.946, 0.613)
O (0.210, 0.237, 0.914)
O (0.210, 0.737, 0.414)
O (0.790, 0.763, 0.086)
O (0.790, 0.263, 0.586)
O (0.887, 0.530, 0.320)
O (0.887, 0.030, 0.820)
O (0.677, 0.519, 0.632)
O (0.677, 0.019, 0.132)
O (0.323, 0.481, 0.368)
O (0.323, 0.981, 0.868)
O (0.113, 0.470, 0.680)
O (0.113, 0.970, 0.180)


[4]
The following is a GGA+U calculation of an optimized crystal structure of LiVF4, from the Materials Project database.

- magnetization (μB per cell) = 8.00
- theoretical density (g/cm3) = 2.82
- calculated formation energy (eV/atom) = -3.154
- energy above the most stable polymorph in this dataset (meV/atom) = 65
- space-group type = P2_12_12_1 (19)

a b c (Å): 5.437 6.401 9.073
angles (deg): 90.00 90.00 90.00
Positions (direct):
Li (0.008, 0.031, 0.091)
Li (0.492, 0.969, 0.591)
Li (0.508, 0.469, 0.909)
Li (0.992, 0.531, 0.409)
V (0.013, 0.232, 0.758)
V (0.487, 0.768, 0.258)
V (0.513, 0.268, 0.242)
V (0.987, 0.732, 0.742)
F (0.088, 0.957, 0.881)
F (0.157, 0.800, 0.193)
F (0.158, 0.509, 0.856)
F (0.231, 0.766, 0.594)
F (0.269, 0.234, 0.094)
F (0.342, 0.491, 0.356)
F (0.343, 0.200, 0.693)
F (0.412, 0.043, 0.381)
F (0.588, 0.543, 0.119)
F (0.657, 0.700, 0.807)
F (0.658, 0.991, 0.144)
F (0.731, 0.734, 0.406)
F (0.769, 0.266, 0.906)
F (0.842, 0.009, 0.644)
F (0.843, 0.300, 0.307)
F (0.912, 0.457, 0.619)


[5]
The following is a GGA+U calculation of an optimized crystal structure of Li4Nb3Cr2Fe3O16, from the Materials Project database.

- magnetization (μB per cell) = 19.68
- theoretical density (g/cm3) = 4.45
- calculated formation energy (eV/atom) = -2.374
- energy above the most stable polymorph in this dataset (meV/atom) = 13
- space-group type = Cm (8)

a b c (Å): 6.073 6.073 9.762
angles (deg): 91.38 91.38 59.97
Positions (direct):
Li (0.000, 0.000, 0.000)
Li (0.007, 0.007, 0.513)
Li (0.326, 0.326, 0.616)
Li (0.657, 0.657, 0.098)
Nb (0.152, 0.651, 0.288)
Nb (0.651, 0.152, 0.288)
Nb (0.817, 0.817, 0.790)
Cr (0.318, 0.318, 0.010)
Cr (0.647, 0.647, 0.524)
Fe (0.160, 0.160, 0.283)
Fe (0.327, 0.824, 0.787)
Fe (0.824, 0.327, 0.787)
O (0.031, 0.472, 0.155)
O (0.143, 0.651, 0.902)
O (0.156, 0.156, 0.899)
O (0.316, 0.813, 0.402)
O (0.331, 0.331, 0.404)
O (0.468, 0.468, 0.162)
O (0.472, 0.031, 0.155)
O (0.513, 0.513, 0.659)
O (0.516, 0.946, 0.651)
O (0.651, 0.143, 0.902)
O (0.658, 0.658, 0.900)
O (0.813, 0.316, 0.402)
O (0.821, 0.821, 0.398)
O (0.946, 0.516, 0.651)
O (0.983, 0.983, 0.185)
O (0.986, 0.986, 0.694)


[6]
The following is a GGA+U calculation of an optimized crystal structure of Cr2HgO7, from the Materials Project database.

- theoretical density (g/cm3) = 4.27
- calculated formation energy (eV/atom) = -1.384
- space-group type = P3_2 (145)

a b c (Å): 7.618 7.618 9.665
angles (deg): 90.00 90.00 120.00
Positions (direct):
Cr (0.087, 0.409, 0.000)
Cr (0.322, 0.913, 0.333)
Cr (0.428, 0.079, 0.008)
Cr (0.591, 0.678, 0.667)
Cr (0.651, 0.572, 0.341)
Cr (0.921, 0.349, 0.675)
Hg (0.264, 0.020, 0.672)
Hg (0.756, 0.736, 0.005)
Hg (0.980, 0.244, 0.339)
O (0.045, 0.593, 0.025)
O (0.048, 0.590, 0.649)
O (0.171, 0.672, 0.330)
O (0.247, 0.024, 0.883)
O (0.248, 0.019, 0.461)
O (0.309, 0.020, 0.173)
O (0.328, 0.499, 0.997)
O (0.407, 0.452, 0.692)
O (0.410, 0.458, 0.316)
O (0.501, 0.829, 0.663)
O (0.542, 0.952, 0.983)
O (0.548, 0.955, 0.359)
O (0.595, 0.317, 0.003)
O (0.683, 0.278, 0.670)
O (0.710, 0.691, 0.506)
O (0.722, 0.405, 0.337)
O (0.771, 0.752, 0.794)
O (0.777, 0.753, 0.217)
O (0.976, 0.223, 0.550)
O (0.980, 0.290, 0.839)
O (0.981, 0.229, 0.127)


[7]
The following is a GGA+U calculation of an optimized crystal structure of MgMo2Cl8O2, from the Materials Project database.

- magnetization (μB per cell) = 2.00
- theoretical density (g/cm3) = 2.48
- calculated formation energy (eV/atom) = -1.228
- energy above the most stable polymorph in this dataset (meV/atom) = 4
- space-group type = P-1 (2)

a b c (Å): 6.288 7.818 7.964
angles (deg): 104.73 93.72 108.13
Positions (direct):
Mg (0.000, 0.000, 0.000)
Mo (0.431, 0.783, 0.731)
Mo (0.569, 0.217, 0.269)
Cl (0.148, 0.511, 0.734)
Cl (0.152, 0.935, 0.707)
Cl (0.297, 0.896, 0.127)
Cl (0.310, 0.313, 0.109)
Cl (0.690, 0.687, 0.891)
Cl (0.703, 0.104, 0.873)
Cl (0.848, 0.065, 0.293)
Cl (0.852, 0.489, 0.266)
O (0.492, 0.740, 0.524)
O (0.508, 0.260, 0.476)


[8]
The following is a GGA+U calculation of an optimized crystal structure of Li6VF8, from the Materials Project database.

- magnetization (μB per cell) = 3.00
- theoretical density (g/cm3) = 2.74
- calculated formation energy (eV/atom) = -3.075
- space-group type = Fm-3m (225)

a b c (Å): 5.939 5.939 5.939
angles (deg): 60.00 60.00 60.00
Positions (direct):
Li (0.000, 0.000, 0.500)
Li (0.000, 0.500, 0.000)
Li (0.000, 0.500, 0.500)
Li (0.500, 0.000, 0.000)
Li (0.500, 0.000, 0.500)
Li (0.500, 0.500, 0.000)
V (0.000, 0.000, 0.000)
F (0.246, 0.246, 0.754)
F (0.246, 0.754, 0.246)
F (0.246, 0.754, 0.754)
F (0.250, 0.250, 0.250)
F (0.750, 0.750, 0.750)
F (0.754, 0.246, 0.246)
F (0.754, 0.246, 0.754)
F (0.754, 0.754, 0.246)